[1]
Compound: Li3V2C4O12
Source: the Materials Project database
Functional: PBE+U
Structure: relaxed

Properties
Electronic total energy   -7.2576 eV per atom
Total magnetization   0.144 μB per atom
Formation energy from the elements   -48.17 kcal/mol of atoms

a = 6.363 Å, b = 6.363 Å, c = 12.519 Å
α = 105.26°, β = 105.27°, γ = 91.06°
Fractional coordinates of all 42 atoms:
1 Li 0.316 0.683 0.375
2 Li 0.317 0.683 0.875
3 Li 0.679 0.505 0.027
4 Li 0.680 0.506 0.526
5 Li 0.494 0.320 0.224
6 Li 0.494 0.321 0.723
7 V 0.189 0.811 0.125
8 V 0.189 0.811 0.625
9 V 0.829 0.171 0.875
10 V 0.830 0.170 0.375
11 C 0.875 0.682 0.386
12 C 0.876 0.682 0.885
13 C 0.318 0.125 0.364
14 C 0.319 0.124 0.865
15 C 0.682 0.882 0.134
16 C 0.683 0.882 0.635
17 C 0.118 0.317 0.115
18 C 0.118 0.318 0.616
19 O 0.921 0.310 0.046
20 O 0.921 0.310 0.546
21 O 0.690 0.078 0.204
22 O 0.690 0.079 0.704
23 O 0.855 0.789 0.123
24 O 0.855 0.789 0.623
25 O 0.211 0.145 0.127
26 O 0.211 0.145 0.627
27 O 0.757 0.492 0.349
28 O 0.756 0.492 0.849
29 O 0.508 0.243 0.401
30 O 0.508 0.244 0.901
31 O 0.777 0.849 0.367
32 O 0.779 0.850 0.868
33 O 0.151 0.223 0.383
34 O 0.150 0.222 0.882
35 O 0.495 0.773 0.075
36 O 0.495 0.773 0.576
37 O 0.227 0.505 0.175
38 O 0.227 0.505 0.675
39 O 0.306 0.922 0.310
40 O 0.307 0.922 0.810
41 O 0.078 0.694 0.440
42 O 0.078 0.693 0.940


[2]
Compound: Li3VC3O9
Source: the Materials Project database
Functional: PBE+U
Structure: relaxed

Properties
Electronic total energy   -7.0801 eV per atom
Total magnetization   0.125 μB per atom
Formation energy from the elements   -49.20 kcal/mol of atoms

a = 5.980 Å, b = 5.980 Å, c = 10.224 Å
α = 90.00°, β = 90.00°, γ = 103.12°
Fractional coordinates of all 32 atoms:
1 Li 0.106 0.106 0.000
2 Li 0.357 0.398 0.250
3 Li 0.168 0.725 0.250
4 Li 0.106 0.106 0.500
5 Li 0.725 0.168 0.750
6 Li 0.398 0.357 0.750
7 V 0.683 0.113 0.250
8 V 0.113 0.683 0.750
9 C 0.574 0.159 0.016
10 C 0.742 0.709 0.250
11 C 0.574 0.159 0.484
12 C 0.159 0.574 0.516
13 C 0.709 0.742 0.750
14 C 0.159 0.574 0.984
15 O 0.776 0.132 0.053
16 O 0.429 0.154 0.115
17 O 0.184 0.518 0.101
18 O 0.766 0.504 0.250
19 O 0.918 0.889 0.250
20 O 0.542 0.763 0.250
21 O 0.184 0.518 0.399
22 O 0.429 0.154 0.385
23 O 0.776 0.132 0.447
24 O 0.132 0.776 0.553
25 O 0.154 0.429 0.615
26 O 0.518 0.184 0.601
27 O 0.763 0.542 0.750
28 O 0.504 0.766 0.750
29 O 0.889 0.918 0.750
30 O 0.518 0.184 0.899
31 O 0.154 0.429 0.885
32 O 0.132 0.776 0.947


[3]
Compound: LiVC2O6
Source: the Materials Project database
Functional: PBE+U
Structure: relaxed

Properties
Electronic total energy   -7.3855 eV per atom
Total magnetization   0.200 μB per atom
Formation energy from the elements   -47.36 kcal/mol of atoms

a = 8.033 Å, b = 8.033 Å, c = 5.368 Å
α = 90.00°, β = 90.00°, γ = 120.00°
Fractional coordinates of all 30 atoms:
1 Li 0.000 0.337 0.000
2 Li 0.663 0.663 0.000
3 Li 0.337 0.000 0.000
4 V 0.000 0.670 0.500
5 V 0.330 0.330 0.500
6 V 0.670 0.000 0.500
7 C 0.333 0.667 0.749
8 C 0.333 0.667 0.277
9 C 0.000 0.000 0.739
10 C 0.000 0.000 0.261
11 C 0.667 0.333 0.251
12 C 0.667 0.333 0.723
13 O 0.095 0.906 0.262
14 O 0.229 0.745 0.751
15 O 0.153 0.578 0.282
16 O 0.094 0.189 0.262
17 O 0.425 0.847 0.282
18 O 0.255 0.484 0.751
19 O 0.516 0.771 0.751
20 O 0.189 0.094 0.738
21 O 0.422 0.575 0.282
22 O 0.484 0.255 0.249
23 O 0.575 0.422 0.718
24 O 0.811 0.905 0.262
25 O 0.905 0.811 0.738
26 O 0.578 0.153 0.718
27 O 0.771 0.516 0.249
28 O 0.745 0.229 0.249
29 O 0.847 0.425 0.718
30 O 0.906 0.095 0.738


[4]
Compound: Li3V2C4O12
Source: the Materials Project database
Functional: PBE+U
Structure: relaxed

Properties
Electronic total energy   -7.2521 eV per atom
Total magnetization   0.048 μB per atom
Formation energy from the elements   -48.05 kcal/mol of atoms
Piezoelectric modulus e_max   0.5 C/m2

a = 5.349 Å, b = 6.492 Å, c = 8.533 Å
α = 83.95°, β = 72.87°, γ = 66.37°
Fractional coordinates of all 21 atoms:
1 Li 0.254 0.530 0.152
2 Li 0.154 0.062 0.326
3 Li 0.540 0.933 0.690
4 V 0.882 0.996 0.998
5 V 0.637 0.505 0.509
6 C 0.737 0.400 0.208
7 C 0.729 0.885 0.305
8 C 0.917 0.117 0.699
9 C 0.339 0.606 0.793
10 O 0.749 0.339 0.069
11 O 0.980 0.889 0.246
12 O 0.561 0.949 0.212
13 O 0.952 0.396 0.255
14 O 0.491 0.472 0.322
15 O 0.647 0.817 0.455
16 O 0.910 0.196 0.550
17 O 0.594 0.607 0.748
18 O 0.262 0.560 0.672
19 O 0.702 0.080 0.794
20 O 0.132 0.074 0.753
21 O 0.176 0.650 0.939


[5]
Compound: LiVC2O6
Source: the Materials Project database
Functional: PBE+U
Structure: relaxed

Properties
Electronic total energy   -7.3924 eV per atom
Total magnetization   0.000 μB per atom
Formation energy from the elements   -47.52 kcal/mol of atoms

a = 4.626 Å, b = 12.367 Å, c = 7.224 Å
α = 101.40°, β = 90.00°, γ = 90.00°
Fractional coordinates of all 40 atoms:
1 Li 0.706 0.415 0.441
2 Li 0.706 0.915 0.441
3 Li 0.206 0.085 0.559
4 Li 0.206 0.585 0.559
5 V 0.238 0.634 0.091
6 V 0.738 0.366 0.909
7 V 0.238 0.135 0.091
8 V 0.738 0.865 0.909
9 C 0.217 0.385 0.119
10 C 0.217 0.885 0.119
11 C 0.717 0.115 0.881
12 C 0.717 0.615 0.881
13 C 0.736 0.131 0.363
14 C 0.736 0.631 0.363
15 C 0.236 0.369 0.637
16 C 0.236 0.869 0.637
17 O 0.071 0.467 0.074
18 O 0.071 0.967 0.073
19 O 0.571 0.033 0.927
20 O 0.571 0.533 0.926
21 O 0.486 0.393 0.159
22 O 0.486 0.893 0.159
23 O 0.986 0.107 0.841
24 O 0.986 0.607 0.841
25 O 0.065 0.296 0.108
26 O 0.065 0.795 0.108
27 O 0.565 0.205 0.892
28 O 0.565 0.704 0.892
29 O 0.576 0.181 0.260
30 O 0.576 0.681 0.260
31 O 0.076 0.319 0.740
32 O 0.076 0.819 0.740
33 O 0.019 0.138 0.344
34 O 0.019 0.638 0.344
35 O 0.519 0.362 0.656
36 O 0.519 0.862 0.656
37 O 0.632 0.078 0.482
38 O 0.632 0.578 0.483
39 O 0.132 0.422 0.517
40 O 0.132 0.922 0.518


[6]
Compound: Li7V4C10O30
Source: the Materials Project database
Functional: PBE+U
Structure: relaxed

Properties
Electronic total energy   -7.2047 eV per atom
Total magnetization   0.137 μB per atom
Formation energy from the elements   -47.22 kcal/mol of atoms

a = 6.363 Å, b = 10.875 Å, c = 17.541 Å
α = 84.34°, β = 90.00°, γ = 90.00°
Fractional coordinates of all 102 atoms:
1 Li 0.219 0.326 0.501
2 Li 0.809 0.962 0.495
3 Li 0.847 0.704 0.708
4 Li 0.333 0.642 0.776
5 Li 0.716 0.164 0.727
6 Li 0.291 0.303 0.777
7 Li 0.274 0.470 0.942
8 Li 0.774 0.530 0.058
9 Li 0.791 0.697 0.223
10 Li 0.216 0.836 0.273
11 Li 0.833 0.358 0.224
12 Li 0.347 0.296 0.292
13 Li 0.309 0.038 0.505
14 Li 0.719 0.674 0.499
15 V 0.410 0.811 0.584
16 V 0.932 0.426 0.631
17 V 0.545 0.996 0.856
18 V 0.007 0.262 0.922
19 V 0.507 0.738 0.078
20 V 0.045 0.004 0.144
21 V 0.432 0.574 0.369
22 V 0.910 0.189 0.416
23 C 0.321 0.551 0.541
24 C 0.016 0.803 0.584
25 C 0.978 0.163 0.589
26 C 0.480 0.947 0.684
27 C 0.601 0.459 0.699
28 C 0.022 0.485 0.797
29 C 0.048 0.049 0.824
30 C 0.541 0.270 0.884
31 C 0.503 0.699 0.911
32 C 0.863 0.002 0.988
33 C 0.363 0.998 0.012
34 C 0.003 0.301 0.089
35 C 0.041 0.730 0.116
36 C 0.548 0.951 0.176
37 C 0.522 0.515 0.203
38 C 0.101 0.541 0.301
39 C 0.980 0.053 0.316
40 C 0.478 0.837 0.411
41 C 0.516 0.197 0.416
42 C 0.821 0.449 0.459
43 O 0.021 0.115 0.524
44 O 0.131 0.856 0.528
45 O 0.822 0.502 0.523
46 O 0.441 0.647 0.545
47 O 0.817 0.793 0.576
48 O 0.209 0.512 0.598
49 O 0.075 0.269 0.599
50 O 0.416 0.989 0.616
51 O 0.118 0.762 0.645
52 O 0.857 0.110 0.638
53 O 0.655 0.352 0.673
54 O 0.723 0.551 0.672
55 O 0.515 0.827 0.693
56 O 0.506 0.019 0.736
57 O 0.453 0.470 0.745
58 O 0.030 0.408 0.744
59 O 0.871 0.020 0.797
60 O 0.021 0.601 0.783
61 O 0.204 0.977 0.834
62 O 0.550 0.197 0.829
63 O 0.072 0.171 0.837
64 O 0.527 0.800 0.870
65 O 0.027 0.436 0.869
66 O 0.407 0.608 0.887
67 O 0.366 0.317 0.903
68 O 0.712 0.307 0.916
69 O 0.410 0.060 0.949
70 O 0.771 0.950 0.936
71 O 0.585 0.676 0.984
72 O 0.912 0.120 0.981
73 O 0.412 0.880 0.019
74 O 0.085 0.324 0.016
75 O 0.271 0.050 0.064
76 O 0.910 0.940 0.051
77 O 0.212 0.693 0.084
78 O 0.866 0.683 0.097
79 O 0.907 0.392 0.113
80 O 0.527 0.564 0.131
81 O 0.027 0.200 0.130
82 O 0.572 0.829 0.163
83 O 0.050 0.803 0.171
84 O 0.704 0.023 0.166
85 O 0.521 0.399 0.217
86 O 0.371 0.980 0.203
87 O 0.530 0.592 0.256
88 O 0.953 0.530 0.255
89 O 0.006 0.981 0.264
90 O 0.015 0.173 0.307
91 O 0.223 0.449 0.328
92 O 0.155 0.648 0.327
93 O 0.357 0.890 0.362
94 O 0.618 0.238 0.355
95 O 0.916 0.011 0.384
96 O 0.575 0.731 0.401
97 O 0.709 0.488 0.402
98 O 0.317 0.207 0.424
99 O 0.941 0.353 0.455
100 O 0.322 0.498 0.477
101 O 0.631 0.144 0.472
102 O 0.521 0.885 0.476


Question: Which of these has the highest formation energy from the elements?
Answer: Li7V4C10O30


Question: Among the records above, which one has the highest electronic total energy?
Answer: Li3VC3O9


What did the fourth record say?
Compound: Li3V2C4O12
Source: the Materials Project database
Functional: PBE+U
Structure: relaxed

Properties
Electronic total energy   -7.2521 eV per atom
Total magnetization   0.048 μB per atom
Formation energy from the elements   -48.05 kcal/mol of atoms
Piezoelectric modulus e_max   0.5 C/m2

a = 5.349 Å, b = 6.492 Å, c = 8.533 Å
α = 83.95°, β = 72.87°, γ = 66.37°
Fractional coordinates of all 21 atoms:
1 Li 0.254 0.530 0.152
2 Li 0.154 0.062 0.326
3 Li 0.540 0.933 0.690
4 V 0.882 0.996 0.998
5 V 0.637 0.505 0.509
6 C 0.737 0.400 0.208
7 C 0.729 0.885 0.305
8 C 0.917 0.117 0.699
9 C 0.339 0.606 0.793
10 O 0.749 0.339 0.069
11 O 0.980 0.889 0.246
12 O 0.561 0.949 0.212
13 O 0.952 0.396 0.255
14 O 0.491 0.472 0.322
15 O 0.647 0.817 0.455
16 O 0.910 0.196 0.550
17 O 0.594 0.607 0.748
18 O 0.262 0.560 0.672
19 O 0.702 0.080 0.794
20 O 0.132 0.074 0.753
21 O 0.176 0.650 0.939